Density functional theory data (PBE-GGA) for AlH18Br3O18 after structural relaxation.

Values from the calculation:
Uncorrected energy: -4.477 eV per atom
Energy of formation from the pure elements: -816 meV per atom
Magnetic moment: 6.00 μB per formula unit

abc: 10.5219 10.9944 12.6421
angles: 110.84 107.57 100.81
Closest atoms and distances in Å follow each position.
Space group P-1 (No. 2)
Symmetry-distinct sites (fractional):
Al 0.2123 0.2340 0.4079 (multiplicity 2)  3 O 1.74-1.91
H 0.0148 0.3609 0.2470 (multiplicity 2)  1 O 1.00
H 0.1345 0.7799 0.1126 (multiplicity 2)  1 O 0.99
H 0.1555 0.0287 0.7573 (multiplicity 2)  1 O 1.00
H 0.1927 0.3977 0.9774 (multiplicity 2)  1 O 0.98
H 0.2368 0.9954 0.4244 (multiplicity 2)  1 O 0.97
H 0.2675 0.2823 0.7973 (multiplicity 2)  1 O 0.99
H 0.3056 0.5432 0.0548 (multiplicity 2)  1 O 0.97
H 0.3203 0.1256 0.2631 (multiplicity 2)  1 O 0.97
H 0.3296 0.3993 0.1597 (multiplicity 2)  1 O 1.00
H 0.3400 0.7314 0.7516 (multiplicity 2)  1 H 0.75
H 0.3448 0.2807 0.2736 (multiplicity 2)  1 O 1.05
H 0.3775 0.7479 0.3629 (multiplicity 2)  1 O 0.98
H 0.3836 0.1311 0.4984 (multiplicity 2)  1 O 1.00
H 0.3981 0.7746 0.7445 (multiplicity 2)  1 H 0.75
H 0.4086 0.8077 0.2196 (multiplicity 2)  1 O 1.00
H 0.4193 0.6336 0.3980 (multiplicity 2)  1 O 0.98
H 0.4463 0.9485 0.3274 (multiplicity 2)  1 O 0.97
H 0.4801 0.4258 0.2630 (multiplicity 2)  1 O 0.97
Br 0.0278 0.9961 0.8688 (multiplicity 2)  1 O 1.81
Br 0.3190 0.4795 0.5304 (multiplicity 2)  1 Al 2.40, 1 H 2.51, 1 O 2.57
Br 0.3928 0.0673 0.8325 (multiplicity 2)  2 O 1.71-1.81
O 0.0543 0.1928 0.2850 (multiplicity 2)  1 Al 1.74
O 0.0548 0.4444 0.2381 (multiplicity 2)  1 H 1.00
O 0.0635 0.6913 0.0472 (multiplicity 2)  1 H 0.99
O 0.0684 0.5503 0.8559 (multiplicity 2)  1 O 1.32
O 0.0995 0.1545 0.0102 (multiplicity 2)  1 Br 1.81
O 0.1387 0.6705 0.9532 (multiplicity 2)  1 O 1.32
O 0.1533 0.2768 0.5320 (multiplicity 2)  1 Al 1.80
O 0.1697 0.2687 0.7933 (multiplicity 2)  1 H 0.99
O 0.2171 0.0045 0.7118 (multiplicity 2)  1 H 1.00
O 0.2635 0.4609 0.0610 (multiplicity 2)  2 H 0.97-0.98
O 0.2813 0.0896 0.4408 (multiplicity 2)  2 H 0.97-1.00
O 0.2897 0.9196 0.9710 (multiplicity 2)  1 O 1.25
O 0.3308 0.2181 0.3185 (multiplicity 2)  2 H 0.97-1.05
O 0.3454 0.9806 0.0862 (multiplicity 2)  1 O 1.25
O 0.3684 0.8618 0.2753 (multiplicity 2)  2 H 0.97-1.00
O 0.3792 0.3760 0.2272 (multiplicity 2)  2 H 0.97-1.00
O 0.4438 0.7335 0.4275 (multiplicity 2)  2 H 0.98
O 0.4794 0.2311 0.8611 (multiplicity 2)  1 Br 1.71, 1 H 1.79